# 1
The following is a DFT calculation (PBE-GGA) of crystalline Na21Ta8Zn4Si15P3O72 at its relaxed geometry.

Properties
formation energy	-2.860	eV/atom
total energy	-7.186	eV/atom
crystal system	triclinic
MP2020-corrected energy	-7.59	eV per atom

Lattice parameters (Å, degrees): 9.099 9.118 22.364 89.89 89.91 120.05
Fractional positions:
1 O 0.468 0.166 0.526
2 O 0.856 0.484 0.422
3 O 0.350 0.850 0.573
4 O 0.170 0.194 0.417
5 O 0.802 0.969 0.693
6 O 0.166 0.682 0.472
7 O 0.028 0.196 0.198
8 O 0.166 0.970 0.194
9 O 0.498 0.632 0.858
10 O 0.155 0.491 0.575
11 O 0.808 0.979 0.414
12 O 0.802 0.833 0.198
13 O 0.513 0.145 0.923
14 O 0.517 0.820 0.754
15 O 0.153 0.662 0.076
16 O 0.022 0.195 0.918
17 O 0.837 0.819 0.589
18 O 0.186 0.029 0.589
19 O 0.132 0.502 0.857
20 O 0.833 0.303 0.527
21 O 0.816 0.025 0.812
22 O 0.505 0.655 0.574
23 O 0.500 0.852 0.074
24 O 0.320 0.480 0.474
25 O 0.835 0.527 0.027
26 O 0.631 0.144 0.422
27 O 0.167 0.195 0.693
28 O 0.979 0.816 0.091
29 O 0.884 0.518 0.147
30 O 0.302 0.819 0.255
31 O 0.484 0.327 0.746
32 O 0.619 0.106 0.144
33 O 0.885 0.367 0.646
34 O 0.855 0.370 0.923
35 O 0.212 0.028 0.312
36 O 0.477 0.367 0.147
37 O 0.366 0.863 0.858
38 O 0.852 0.535 0.745
39 O 0.295 0.479 0.754
40 O 0.317 0.840 0.975
41 O 0.974 0.160 0.589
42 O 0.174 0.706 0.754
43 O 0.978 0.788 0.810
44 O 0.176 0.469 0.255
45 O 0.694 0.164 0.026
46 O 0.629 0.485 0.923
47 O 0.469 0.301 0.028
48 O 0.487 0.105 0.643
49 O 0.518 0.686 0.972
50 O 0.525 0.839 0.474
51 O 0.514 0.368 0.422
52 O 0.619 0.508 0.643
53 O 0.684 0.535 0.247
54 O 0.808 0.827 0.915
55 O 0.681 0.163 0.747
56 O 0.028 0.833 0.697
57 O 0.134 0.631 0.357
58 O 0.165 0.486 0.972
59 O 0.808 0.791 0.311
60 O 0.496 0.862 0.359
61 O 0.170 0.976 0.916
62 O 0.694 0.530 0.525
63 O 0.528 0.700 0.255
64 O 0.367 0.503 0.358
65 O 0.839 0.023 0.092
66 O 0.485 0.161 0.248
67 O 0.855 0.322 0.246
68 O 0.345 0.497 0.075
69 O 0.976 0.190 0.310
70 O 0.187 0.158 0.091
71 O 0.214 0.180 0.812
72 O 0.018 0.826 0.416
73 Ta 0.667 0.333 0.982
74 Ta 0.331 0.666 0.521
75 Ta 0.001 0.998 0.143
76 Ta 0.666 0.334 0.481
77 Ta 0.337 0.666 0.813
78 Ta 0.333 0.669 0.313
79 Ta 0.333 0.664 0.021
80 Ta 0.999 0.000 0.647
81 P 0.003 0.712 0.753
82 P 0.710 0.713 0.253
83 P 0.003 0.290 0.253
84 Na 0.639 0.621 0.744
85 Na 0.323 0.667 0.667
86 Na 0.334 0.657 0.161
87 Na 0.992 0.001 0.993
88 Na 0.967 0.685 0.913
89 Na 0.313 0.338 0.588
90 Na 0.717 0.685 0.412
91 Na 0.382 0.025 0.747
92 Na 0.313 0.974 0.085
93 Na 0.662 0.329 0.325
94 Na 0.664 0.975 0.588
95 Na 0.640 0.021 0.241
96 Na 0.719 0.033 0.910
97 Na 0.662 0.328 0.825
98 Na 0.001 0.993 0.495
99 Na 0.379 0.355 0.243
100 Na 0.315 0.036 0.409
101 Na 0.966 0.281 0.412
102 Na 0.314 0.278 0.910
103 Na 0.979 0.356 0.746
104 Na 0.983 0.624 0.241
105 Si 0.040 0.378 0.917
106 Si 0.376 0.338 0.086
107 Si 0.707 0.001 0.753
108 Si 0.337 0.377 0.417
109 Si 0.371 0.038 0.585
110 Si 0.668 0.040 0.085
111 Si 0.039 0.662 0.417
112 Si 0.293 0.293 0.753
113 Si 0.959 0.336 0.586
114 Si 0.956 0.621 0.087
115 Si 0.624 0.960 0.417
116 Si 0.336 0.959 0.918
117 Si 0.670 0.627 0.585
118 Si 0.294 0.002 0.253
119 Si 0.624 0.663 0.918
120 Zn 0.002 0.006 0.851
121 Zn 0.005 0.002 0.351
122 Zn 0.661 0.328 0.175
123 Zn 0.661 0.328 0.681

***

# 2
The following is a DFT calculation (PBE-GGA) of crystalline Na4TaZnSi2PO12 at its relaxed geometry.

Properties
formation energy	-2.721	eV/atom
total energy	-6.807	eV/atom
MP2020-corrected energy	-7.20	eV per atom

Lattice parameters (Å, degrees): 9.136 9.136 22.107 89.64 90.36 119.38
Fractional positions:
1 Ta 0.998 0.001 0.647
2 Ta 0.666 0.335 0.480
3 Ta 0.999 0.002 0.147
4 Ta 0.665 0.334 0.980
5 Ta 0.332 0.669 0.814
6 Ta 0.331 0.668 0.314
7 O 0.472 0.169 0.527
8 O 0.364 0.862 0.860
9 O 0.153 0.666 0.080
10 O 0.697 0.529 0.527
11 O 0.362 0.497 0.363
12 O 0.800 0.802 0.912
13 O 0.819 0.000 0.413
14 O 0.531 0.867 0.079
15 O 0.981 0.790 0.810
16 O 0.220 0.188 0.813
17 O 0.812 0.780 0.313
18 O 0.143 0.681 0.480
19 O 0.517 0.705 0.255
20 O 0.850 0.485 0.422
21 O 0.348 0.495 0.080
22 O 0.517 0.819 0.755
23 O 0.962 0.816 0.088
24 O 0.505 0.652 0.580
25 O 0.954 0.153 0.588
26 O 0.621 0.486 0.921
27 O 0.648 0.123 0.143
28 O 0.653 0.524 0.647
29 O 0.877 0.352 0.643
30 O 0.629 0.149 0.421
31 O 0.851 0.371 0.921
32 O 0.139 0.502 0.860
33 O 0.198 0.200 0.412
34 O 0.831 0.528 0.027
35 O 0.181 0.483 0.255
36 O 0.466 0.135 0.246
37 O 0.515 0.150 0.922
38 O 0.181 0.713 0.755
39 O 0.498 0.861 0.360
40 O 0.170 0.971 0.196
41 O 0.986 0.191 0.313
42 O 0.030 0.195 0.194
43 O 0.805 0.970 0.694
44 O 0.839 0.319 0.247
45 O 0.681 0.161 0.747
46 O 0.514 0.379 0.421
47 O 0.805 0.835 0.193
48 O 0.486 0.333 0.746
49 O 0.172 0.985 0.914
50 O 0.314 0.456 0.477
51 O 0.210 0.019 0.310
52 O 0.886 0.521 0.146
53 O 0.000 0.181 0.913
54 O 0.287 0.819 0.255
55 O 0.865 0.534 0.746
56 O 0.015 0.828 0.414
57 O 0.553 0.855 0.479
58 O 0.319 0.857 0.980
59 O 0.334 0.847 0.580
60 O 0.138 0.636 0.360
61 O 0.184 0.038 0.588
62 O 0.145 0.447 0.979
63 O 0.165 0.195 0.693
64 O 0.029 0.830 0.696
65 O 0.471 0.303 0.027
66 O 0.476 0.347 0.147
67 O 0.809 0.014 0.813
68 O 0.836 0.304 0.529
69 O 0.848 0.817 0.588
70 O 0.667 0.514 0.246
71 O 0.133 0.469 0.579
72 O 0.183 0.152 0.088
73 O 0.696 0.164 0.029
74 O 0.544 0.686 0.977
75 O 0.847 0.046 0.088
76 O 0.295 0.483 0.755
77 O 0.503 0.638 0.863
78 O 0.479 0.114 0.646
79 Na 0.975 0.289 0.408
80 Na 0.052 0.363 0.078
81 Na 0.316 0.356 0.580
82 Na 0.644 0.684 0.080
83 Na 0.662 0.326 0.824
84 Na 0.308 0.955 0.074
85 Na 0.674 0.338 0.324
86 Na 0.385 0.030 0.745
87 Na 0.637 0.948 0.578
88 Na 0.995 0.993 0.490
89 Na 0.304 0.281 0.911
90 Na 0.328 0.660 0.157
91 Na 0.711 0.025 0.908
92 Na 0.970 0.615 0.245
93 Na 0.045 0.692 0.574
94 Na 0.007 0.005 0.990
95 Na 0.311 0.017 0.414
96 Na 0.340 0.672 0.657
97 Na 0.977 0.350 0.747
98 Na 0.983 0.689 0.914
99 Na 0.719 0.696 0.411
100 Na 0.378 0.358 0.241
101 Na 0.650 0.023 0.247
102 Na 0.642 0.622 0.741
103 Zn 0.009 0.013 0.848
104 Zn 0.654 0.324 0.681
105 Zn 0.321 0.658 0.014
106 Zn 0.342 0.679 0.514
107 Zn 0.676 0.346 0.181
108 Zn 0.987 0.991 0.348
109 Si 0.035 0.371 0.920
110 Si 0.702 0.704 0.253
111 Si 0.296 0.298 0.753
112 Si 0.669 0.629 0.587
113 Si 0.038 0.664 0.420
114 Si 0.962 0.632 0.086
115 Si 0.003 0.296 0.254
116 Si 0.371 0.331 0.087
117 Si 0.629 0.965 0.420
118 Si 0.336 0.962 0.920
119 Si 0.704 0.997 0.754
120 Si 0.368 0.038 0.586
121 P 0.286 0.993 0.253
122 P 0.620 0.660 0.920
123 P 0.953 0.326 0.587
124 P 0.340 0.380 0.420
125 P 0.007 0.714 0.753
126 P 0.674 0.047 0.087

***

# 3
The following is a DFT calculation (PBE-GGA) of crystalline Na12Ta2Zn4Si3P6O36 at its relaxed geometry.

Properties
formation energy	-2.635	eV/atom
total energy	-6.553	eV/atom
crystal system	trigonal
MP2020-corrected energy	-6.95	eV per atom

Lattice parameters (Å, degrees): 9.116 9.116 22.067 90.00 90.00 120.00
Fractional positions:
1 Na 0.366 0.014 0.744
2 Na 0.712 0.690 0.414
3 Na 0.333 0.667 0.158
4 Na 0.046 0.709 0.581
5 Na 0.291 0.954 0.081
6 Na 0.046 0.337 0.081
7 Na 0.979 0.690 0.914
8 Na 0.648 0.634 0.744
9 Na 0.712 0.021 0.914
10 Na 0.663 0.954 0.581
11 Na 0.000 0.000 0.496
12 Na 0.366 0.352 0.244
13 Na 0.663 0.709 0.081
14 Na 0.986 0.352 0.744
15 Na 0.333 0.667 0.658
16 Na 0.310 0.021 0.414
17 Na 0.310 0.288 0.914
18 Na 0.648 0.014 0.244
19 Na 0.667 0.333 0.327
20 Na 0.986 0.634 0.244
21 Na 0.979 0.288 0.414
22 Na 0.291 0.337 0.581
23 Na 0.000 0.000 0.996
24 Na 0.667 0.333 0.827
25 P 0.295 0.299 0.750
26 P 0.004 0.705 0.750
27 P 0.701 0.705 0.250
28 P 0.373 0.041 0.586
29 P 0.668 0.627 0.586
30 P 0.295 0.996 0.250
31 P 0.959 0.332 0.586
32 P 0.373 0.332 0.086
33 P 0.701 0.996 0.750
34 P 0.959 0.627 0.086
35 P 0.668 0.041 0.086
36 P 0.004 0.299 0.250
37 Zn 0.333 0.667 0.510
38 Zn 0.000 0.000 0.652
39 Zn 0.000 0.000 0.351
40 Zn 0.000 0.000 0.152
41 Zn 0.667 0.333 0.180
42 Zn 0.333 0.667 0.010
43 Zn 0.667 0.333 0.680
44 Zn 0.000 0.000 0.851
45 O 0.478 0.328 0.746
46 O 0.477 0.158 0.529
47 O 0.214 0.021 0.307
48 O 0.979 0.786 0.807
49 O 0.852 0.366 0.923
50 O 0.136 0.633 0.361
51 O 0.817 0.823 0.910
52 O 0.039 0.814 0.692
53 O 0.367 0.502 0.361
54 O 0.214 0.193 0.807
55 O 0.298 0.849 0.980
56 O 0.672 0.150 0.746
57 O 0.834 0.034 0.083
58 O 0.842 0.319 0.529
59 O 0.477 0.319 0.029
60 O 0.136 0.502 0.861
61 O 0.136 0.491 0.582
62 O 0.514 0.366 0.423
63 O 0.509 0.645 0.582
64 O 0.979 0.193 0.307
65 O 0.298 0.448 0.480
66 O 0.672 0.522 0.246
67 O 0.151 0.702 0.480
68 O 0.151 0.448 0.980
69 O 0.367 0.864 0.861
70 O 0.775 0.814 0.192
71 O 0.186 0.225 0.692
72 O 0.552 0.849 0.480
73 O 0.136 0.645 0.082
74 O 0.177 0.994 0.910
75 O 0.876 0.352 0.643
76 O 0.498 0.864 0.361
77 O 0.634 0.486 0.923
78 O 0.648 0.124 0.143
79 O 0.850 0.328 0.246
80 O 0.807 0.786 0.307
81 O 0.552 0.702 0.980
82 O 0.171 0.688 0.756
83 O 0.171 0.482 0.256
84 O 0.200 0.034 0.583
85 O 0.966 0.166 0.583
86 O 0.775 0.961 0.692
87 O 0.681 0.523 0.529
88 O 0.312 0.482 0.756
89 O 0.498 0.633 0.861
90 O 0.476 0.124 0.643
91 O 0.478 0.150 0.246
92 O 0.514 0.148 0.923
93 O 0.681 0.158 0.029
94 O 0.648 0.524 0.643
95 O 0.177 0.183 0.410
96 O 0.966 0.800 0.083
97 O 0.807 0.021 0.807
98 O 0.834 0.800 0.583
99 O 0.039 0.225 0.192
100 O 0.006 0.183 0.910
101 O 0.518 0.688 0.256
102 O 0.876 0.524 0.143
103 O 0.355 0.864 0.582
104 O 0.518 0.829 0.756
105 O 0.509 0.864 0.082
106 O 0.006 0.823 0.410
107 O 0.842 0.523 0.029
108 O 0.634 0.148 0.423
109 O 0.476 0.352 0.143
110 O 0.355 0.491 0.082
111 O 0.852 0.486 0.423
112 O 0.817 0.994 0.410
113 O 0.312 0.829 0.256
114 O 0.850 0.522 0.746
115 O 0.200 0.166 0.083
116 O 0.186 0.961 0.192
117 Si 0.039 0.371 0.920
118 Si 0.332 0.961 0.920
119 Si 0.629 0.961 0.420
120 Si 0.629 0.668 0.920
121 Si 0.332 0.371 0.420
122 Si 0.039 0.668 0.420
123 Ta 0.333 0.667 0.817
124 Ta 0.667 0.333 0.979
125 Ta 0.667 0.333 0.479
126 Ta 0.333 0.667 0.317